# 1
First-principles (PBE-GGA) data for a relaxed GdH2I3O10 crystal, as listed in the Materials Project database.

abc: 7.391 6.692 10.115
angles: 90.00 109.89 90.00
Element x y z (fractional)
Gd (0.239, 0.000, 0.309)
Gd (0.761, 0.500, 0.691)
H (0.211, 0.315, 0.917)
H (0.402, 0.218, 0.018)
H (0.598, 0.718, 0.982)
H (0.789, 0.815, 0.083)
I (0.140, 0.841, 0.913)
I (0.162, 0.479, 0.535)
I (0.474, 0.528, 0.280)
I (0.526, 0.028, 0.720)
I (0.838, 0.979, 0.465)
I (0.860, 0.341, 0.087)
O (0.033, 0.588, 0.895)
O (0.038, 0.368, 0.647)
O (0.090, 0.285, 0.398)
O (0.263, 0.827, 0.104)
O (0.293, 0.196, 0.930)
O (0.300, 0.647, 0.352)
O (0.338, 0.956, 0.557)
O (0.340, 0.786, 0.852)
O (0.343, 0.293, 0.232)
O (0.409, 0.406, 0.637)
O (0.591, 0.906, 0.363)
O (0.657, 0.793, 0.768)
O (0.660, 0.286, 0.148)
O (0.662, 0.456, 0.443)
O (0.700, 0.147, 0.648)
O (0.707, 0.696, 0.070)
O (0.737, 0.327, 0.896)
O (0.910, 0.785, 0.602)
O (0.962, 0.868, 0.353)
O (0.967, 0.088, 0.105)

Values from the calculation:
Mass density ... 4941 kg/m3
Volume ... 14.7 Å³ per atom
Final energy ... -181.78 eV per cell
Calculated formation energy ... -1.428 eV/atom

# 2
First-principles (PBE-GGA) data for a relaxed KGdH2S2O9 crystal, as listed in the Materials Project database.

abc: 10.288 8.458 10.505
angles: 90.00 119.53 90.00
Element x y z (fractional)
K (0.210, 0.177, 0.191)
K (0.210, 0.323, 0.691)
K (0.790, 0.677, 0.309)
K (0.790, 0.823, 0.809)
Gd (0.258, 0.649, 0.038)
Gd (0.258, 0.851, 0.538)
Gd (0.742, 0.149, 0.462)
Gd (0.742, 0.351, 0.962)
H (0.279, 0.519, 0.446)
H (0.279, 0.981, 0.946)
H (0.413, 0.515, 0.605)
H (0.413, 0.985, 0.105)
H (0.587, 0.015, 0.895)
H (0.587, 0.485, 0.395)
H (0.721, 0.019, 0.054)
H (0.721, 0.481, 0.554)
S (0.051, 0.634, 0.180)
S (0.051, 0.866, 0.680)
S (0.500, 0.196, 0.601)
S (0.500, 0.304, 0.101)
S (0.500, 0.696, 0.899)
S (0.500, 0.804, 0.399)
S (0.949, 0.134, 0.320)
S (0.949, 0.366, 0.820)
O (0.057, 0.749, 0.575)
O (0.057, 0.751, 0.075)
O (0.075, 0.713, 0.315)
O (0.075, 0.787, 0.815)
O (0.098, 0.057, 0.388)
O (0.098, 0.443, 0.888)
O (0.172, 0.516, 0.212)
O (0.172, 0.984, 0.712)
O (0.313, 0.561, 0.545)
O (0.313, 0.939, 0.045)
O (0.361, 0.616, 0.880)
O (0.361, 0.884, 0.380)
O (0.404, 0.080, 0.624)
O (0.404, 0.420, 0.124)
O (0.420, 0.228, 0.957)
O (0.420, 0.272, 0.457)
O (0.455, 0.683, 0.280)
O (0.455, 0.817, 0.780)
O (0.545, 0.183, 0.220)
O (0.545, 0.317, 0.720)
O (0.580, 0.728, 0.543)
O (0.580, 0.772, 0.043)
O (0.596, 0.580, 0.876)
O (0.596, 0.920, 0.376)
O (0.639, 0.116, 0.620)
O (0.639, 0.384, 0.120)
O (0.687, 0.061, 0.955)
O (0.687, 0.439, 0.455)
O (0.828, 0.016, 0.288)
O (0.828, 0.484, 0.788)
O (0.902, 0.557, 0.112)
O (0.902, 0.943, 0.612)
O (0.925, 0.213, 0.185)
O (0.925, 0.287, 0.685)
O (0.943, 0.249, 0.925)
O (0.943, 0.251, 0.425)

Values from the calculation:
Mass density ... 3394 kg/m3
Volume ... 13.3 Å³ per atom
Final energy ... -411.33 eV per cell
Calculated formation energy ... -2.283 eV/atom

# 3
First-principles (PBE-GGA) data for a relaxed GdP4H4NO12 crystal, as listed in the Materials Project database.

abc: 10.516 9.113 12.824
angles: 90.00 124.82 90.00
Element x y z (fractional)
Gd (0.186, 0.224, 0.188)
Gd (0.186, 0.276, 0.688)
Gd (0.814, 0.724, 0.312)
Gd (0.814, 0.776, 0.812)
P (0.112, 0.589, 0.257)
P (0.112, 0.911, 0.757)
P (0.181, 0.674, 0.640)
P (0.181, 0.826, 0.140)
P (0.302, 0.106, 0.980)
P (0.302, 0.394, 0.480)
P (0.478, 0.528, 0.728)
P (0.478, 0.972, 0.228)
P (0.522, 0.028, 0.772)
P (0.522, 0.472, 0.272)
P (0.698, 0.606, 0.520)
P (0.698, 0.894, 0.020)
P (0.819, 0.174, 0.860)
P (0.819, 0.326, 0.360)
P (0.888, 0.089, 0.243)
P (0.888, 0.411, 0.743)
H (0.185, 0.636, 0.964)
H (0.185, 0.864, 0.464)
H (0.228, 0.569, 0.863)
H (0.228, 0.931, 0.363)
H (0.255, 0.034, 0.483)
H (0.255, 0.466, 0.983)
H (0.373, 0.607, 0.020)
H (0.373, 0.893, 0.520)
H (0.627, 0.107, 0.480)
H (0.627, 0.393, 0.980)
H (0.745, 0.534, 0.017)
H (0.745, 0.966, 0.517)
H (0.772, 0.069, 0.637)
H (0.772, 0.431, 0.137)
H (0.815, 0.136, 0.536)
H (0.815, 0.364, 0.036)
N (0.261, 0.570, 0.957)
N (0.261, 0.930, 0.457)
N (0.739, 0.070, 0.543)
N (0.739, 0.430, 0.043)
O (0.020, 0.173, 0.258)
O (0.020, 0.327, 0.758)
O (0.076, 0.736, 0.508)
O (0.076, 0.764, 0.008)
O (0.077, 0.044, 0.676)
O (0.077, 0.456, 0.176)
O (0.140, 0.537, 0.680)
O (0.140, 0.963, 0.180)
O (0.201, 0.160, 0.020)
O (0.201, 0.340, 0.520)
O (0.222, 0.701, 0.244)
O (0.222, 0.799, 0.744)
O (0.234, 0.548, 0.405)
O (0.234, 0.952, 0.905)
O (0.338, 0.209, 0.909)
O (0.338, 0.291, 0.409)
O (0.350, 0.658, 0.665)
O (0.350, 0.842, 0.165)
O (0.365, 0.097, 0.693)
O (0.365, 0.403, 0.193)
O (0.435, 0.082, 0.291)
O (0.435, 0.418, 0.791)
O (0.461, 0.044, 0.105)
O (0.461, 0.456, 0.605)
O (0.539, 0.544, 0.395)
O (0.539, 0.956, 0.895)
O (0.565, 0.582, 0.209)
O (0.565, 0.918, 0.709)
O (0.635, 0.597, 0.807)
O (0.635, 0.903, 0.307)
O (0.650, 0.158, 0.835)
O (0.650, 0.342, 0.335)
O (0.662, 0.709, 0.591)
O (0.662, 0.791, 0.091)
O (0.766, 0.048, 0.095)
O (0.766, 0.452, 0.595)
O (0.778, 0.201, 0.256)
O (0.778, 0.299, 0.756)
O (0.799, 0.660, 0.480)
O (0.799, 0.840, 0.980)
O (0.860, 0.037, 0.820)
O (0.860, 0.463, 0.320)
O (0.923, 0.544, 0.824)
O (0.923, 0.956, 0.324)
O (0.924, 0.236, 0.992)
O (0.924, 0.264, 0.492)
O (0.980, 0.673, 0.242)
O (0.980, 0.827, 0.742)

Values from the calculation:
Mass density ... 3234 kg/m3
Volume ... 11.5 Å³ per atom
Final energy ... -643.53 eV per cell
Calculated formation energy ... -2.369 eV/atom